# KEuW4O12

A relaxed structure of KEuW4O12 (PBE+U, the Materials Project).

Values from the calculation:
- calculated volume (Å³ per cell) = 244.4

Cell lengths 7.866, 5.575, 5.575 Å; angles 89.29, 90.00, 90.00 degrees
Sites, in units of the cell vectors:
K 0.000 0.000 0.000
Eu 0.500 0.467 0.467
W 0.247 0.482 0.981
W 0.247 0.981 0.482
W 0.753 0.482 0.981
W 0.753 0.981 0.482
O 0.000 0.517 0.938
O 0.000 0.938 0.517
O 0.220 0.274 0.274
O 0.257 0.201 0.763
O 0.257 0.763 0.201
O 0.288 0.692 0.692
O 0.500 0.024 0.445
O 0.500 0.445 0.024
O 0.712 0.692 0.692
O 0.743 0.201 0.763
O 0.743 0.763 0.201
O 0.780 0.274 0.274



# Sr2CoO4

A relaxed structure of Sr2CoO4 (PBE+U, the Materials Project).

Values from the calculation:
- energy relative to the lowest polymorph listed for this composition (eV per atom) = 0.071
- calculated volume (Å³ per cell) = 92.9

Cell lengths 6.830, 6.830, 6.830 Å; angles 147.84, 146.65, 47.01 degrees
Sites, in units of the cell vectors:
Sr 0.143 0.143 0.000
Sr 0.857 0.857 0.000
Co 0.500 0.500 0.000
O 0.000 0.500 0.500
O 0.343 0.343 0.000
O 0.500 0.000 0.500
O 0.657 0.657 0.000



For the records above, the corresponding energy relative to the elements values read -40.94; -15.97 eV/f.u..